No. 1
This record from the Materials Project database describes a geometry-optimized Sr2Pr2TlNi2O9 structure. The functional is PBE with a Hubbard U.

The structure in POSCAR format:
```
Sr2Pr2TlNi2O9
1.0
0.000 15.041 2.719
2.693 0.000 2.719
2.693 15.041 0.000
Sr Pr Tl Ni O
2 2 1 2 9
direct
0.084 0.916 0.084
0.916 0.084 0.916
0.196 0.791 0.209
0.791 0.196 0.804
0.537 0.537 0.463
0.348 0.640 0.360
0.640 0.348 0.652
0.143 0.346 0.154
0.274 0.712 0.288
0.346 0.143 0.358
0.422 0.562 0.438
0.562 0.422 0.578
0.642 0.846 0.654
0.712 0.274 0.726
0.846 0.642 0.857
0.967 0.967 0.033
```

Volume (Å³/f.u.): 220.3
Size of the total moment (μB/cell): 3.00
Energy relative to the elements (eV/atom): -2.452

No. 2
This record from the Materials Project database describes a geometry-optimized MgMn6O4F8 structure. The functional is PBE with a Hubbard U.

The structure in POSCAR format:
```
MgMn6O4F8
1.0
5.187 0.000 0.000
0.289 5.846 0.000
0.066 0.559 8.084
Mg Mn O F
1 6 4 8
direct
0.000 0.000 0.000
0.002 0.379 0.212
0.003 0.992 0.511
0.181 0.601 0.813
0.465 0.143 0.849
0.506 0.832 0.183
0.522 0.485 0.507
0.171 0.302 0.953
0.196 0.709 0.577
0.338 0.858 0.940
0.833 0.280 0.432
0.154 0.010 0.247
0.300 0.173 0.601
0.363 0.513 0.262
0.599 0.445 0.769
0.691 0.146 0.089
0.711 0.805 0.413
0.815 0.991 0.779
0.867 0.691 0.079
```

Volume (Å³/f.u.): 245.1
Size of the total moment (μB/cell): 28.00
Energy relative to the elements (eV/atom): -2.591

No. 3
This record from the Materials Project database describes a geometry-optimized Li2FeP2O8 structure. The functional is PBE with a Hubbard U.

The structure in POSCAR format:
```
Li2FeP2O8
1.0
4.968 0.000 0.000
0.000 8.646 0.000
-0.586 0.000 6.752
Li Fe P O
4 2 4 16
direct
0.241 0.000 0.076
0.258 0.354 0.738
0.742 0.854 0.262
0.759 0.500 0.924
0.255 0.354 0.260
0.745 0.854 0.740
0.216 0.033 0.527
0.276 0.677 0.976
0.724 0.177 0.024
0.784 0.533 0.473
0.031 0.211 0.066
0.072 0.984 0.710
0.080 0.965 0.332
0.200 0.213 0.503
0.319 0.501 0.021
0.389 0.783 0.146
0.439 0.711 0.796
0.486 0.481 0.450
0.514 0.981 0.550
0.561 0.211 0.204
0.611 0.283 0.854
0.681 0.001 0.979
0.800 0.713 0.497
0.920 0.465 0.668
0.928 0.484 0.290
0.969 0.711 0.934
```

Volume (Å³/f.u.): 145.0
Size of the total moment (μB/cell): 8.00
Energy relative to the elements (eV/atom): -2.380

No. 4
This record from the Materials Project database describes a geometry-optimized Li3MnCo2O6 structure. The functional is PBE with a Hubbard U.

The structure in POSCAR format:
```
Li3MnCo2O6
1.0
3.039 0.000 0.000
0.410 6.000 0.000
0.375 2.843 12.128
Li Mn Co O
6 2 4 12
direct
0.000 0.000 0.000
0.003 0.334 0.330
0.496 0.164 0.168
0.500 0.500 0.500
0.504 0.836 0.832
0.997 0.666 0.670
0.000 0.500 0.000
0.500 0.000 0.500
0.012 0.167 0.666
0.494 0.668 0.169
0.506 0.332 0.831
0.988 0.833 0.334
0.017 0.433 0.161
0.018 0.100 0.823
0.034 0.239 0.508
0.458 0.258 0.992
0.463 0.602 0.327
0.480 0.932 0.661
0.520 0.068 0.339
0.537 0.398 0.673
0.542 0.742 0.008
0.966 0.761 0.492
0.982 0.900 0.177
0.983 0.567 0.839
```

Volume (Å³/f.u.): 110.6
Size of the total moment (μB/cell): 0.06
Energy relative to the elements (eV/atom): -1.782

No. 5
This record from the Materials Project database describes a geometry-optimized Li2VOF4 structure. The functional is PBE with a Hubbard U.

The structure in POSCAR format:
```
Li2VOF4
1.0
6.744 0.000 0.000
0.000 3.735 0.000
-0.205 0.000 14.707
Li V O F
8 4 4 16
direct
0.000 0.000 0.000
0.103 0.000 0.413
0.252 0.500 0.908
0.370 0.500 0.514
0.484 0.000 0.778
0.615 0.000 0.387
0.739 0.500 0.886
0.862 0.500 0.275
0.024 0.000 0.709
0.318 0.500 0.215
0.550 0.000 0.075
0.829 0.500 0.575
0.357 0.000 0.191
0.760 0.000 0.133
0.875 0.000 0.593
0.980 0.500 0.688
0.061 0.500 0.500
0.068 0.500 0.161
0.170 0.000 0.821
0.187 0.500 0.324
0.273 0.000 0.659
0.296 0.000 0.997
0.370 0.000 0.455
0.472 0.500 0.084
0.482 0.500 0.831
0.563 0.500 0.283
0.580 0.500 0.623
0.679 0.000 0.957
0.682 0.500 0.461
0.791 0.000 0.780
0.874 0.000 0.336
0.985 0.500 0.951
```

Volume (Å³/f.u.): 92.6
Size of the total moment (μB/cell): 4.00
Energy relative to the elements (eV/atom): -2.938

No. 6
This record from the Materials Project database describes a geometry-optimized Fe4O5F3 structure. The functional is PBE with a Hubbard U.

The structure in POSCAR format:
```
Fe4O5F3
1.0
4.711 0.000 0.000
-0.145 7.655 0.000
-0.171 -1.924 7.508
Fe O F
8 10 6
direct
0.000 0.000 0.000
0.000 0.500 0.500
0.049 0.241 0.758
0.455 0.117 0.380
0.480 0.384 0.153
0.520 0.616 0.847
0.545 0.883 0.620
0.951 0.759 0.242
0.179 0.970 0.209
0.193 0.471 0.722
0.197 0.218 0.990
0.294 0.349 0.360
0.312 0.090 0.604
0.688 0.910 0.396
0.706 0.651 0.640
0.803 0.782 0.010
0.807 0.529 0.278
0.821 0.030 0.791
0.204 0.726 0.464
0.309 0.600 0.091
0.312 0.842 0.834
0.688 0.158 0.166
0.691 0.400 0.909
0.796 0.274 0.536
```

Volume (Å³/f.u.): 135.4
Size of the total moment (μB/cell): 6.00
Energy relative to the elements (eV/atom): -1.639